Record 1
DFT (GGA+U) results for Li3Al2FeO6 after structural relaxation.

POSCAR file:
```
Li3Al2FeO6
1.0
5.348 0.000 0.000
-0.024 5.858 0.000
-1.164 -0.111 7.732
Li Al Fe O
6 4 2 12
direct
0.002 0.335 0.244
0.153 0.836 0.080
0.324 0.657 0.406
0.676 0.343 0.594
0.847 0.164 0.920
0.998 0.665 0.756
0.158 0.172 0.578
0.325 0.332 0.911
0.675 0.668 0.089
0.842 0.828 0.422
0.495 0.169 0.253
0.505 0.831 0.747
0.032 0.328 0.745
0.159 0.858 0.579
0.192 0.178 0.074
0.327 0.312 0.425
0.355 0.646 0.919
0.477 0.165 0.754
0.523 0.835 0.246
0.645 0.354 0.081
0.673 0.688 0.575
0.808 0.822 0.926
0.841 0.142 0.421
0.968 0.672 0.255
```

Calculated values
symmetry	P-1
size of the total moment	5.000	μB/f.u.
ΔE to the lowest computed polymorph	15	meV/atom
calculated formation energy	-2.6675	eV per atom

---

Record 2
DFT (GGA+U) results for LiCoNiF6 after structural relaxation.

POSCAR file:
```
LiCoNiF6
1.0
4.703 0.000 0.000
0.000 4.703 0.000
0.000 0.000 9.054
Li Co Ni F
2 2 2 12
direct
0.000 0.000 0.000
0.500 0.500 0.500
0.000 0.000 0.333
0.500 0.500 0.833
0.000 0.000 0.671
0.500 0.500 0.171
0.193 0.193 0.493
0.195 0.195 0.176
0.205 0.205 0.833
0.295 0.705 0.333
0.305 0.695 0.676
0.307 0.693 0.993
0.693 0.307 0.993
0.695 0.305 0.676
0.705 0.295 0.333
0.795 0.795 0.833
0.805 0.805 0.176
0.807 0.807 0.493
```

Calculated values
symmetry	P4_2nm
size of the total moment	2.000	μB/f.u.
calculated formation energy	-2.4564	eV per atom

---

Record 3
DFT (GGA+U) results for TlCoO3 after structural relaxation.

POSCAR file:
```
TlCoO3
1.0
5.416 0.000 0.000
0.000 7.962 0.000
0.000 0.000 5.394
Tl Co O
4 4 12
direct
0.044 0.250 0.015
0.456 0.750 0.515
0.544 0.250 0.485
0.956 0.750 0.985
0.000 0.000 0.500
0.000 0.500 0.500
0.500 0.000 0.000
0.500 0.500 0.000
0.053 0.750 0.392
0.214 0.560 0.812
0.214 0.940 0.812
0.286 0.060 0.312
0.286 0.440 0.312
0.447 0.250 0.892
0.553 0.750 0.108
0.714 0.560 0.688
0.714 0.940 0.688
0.786 0.060 0.188
0.786 0.440 0.188
0.947 0.250 0.608
```

Calculated values
symmetry	Pnma
size of the total moment	2.000	μB/f.u.
calculated formation energy	-1.0817	eV per atom

---

Record 4
DFT (GGA+U) results for Na4WO5 after structural relaxation.

POSCAR file:
```
Na4WO5
1.0
5.739 0.000 0.000
-1.229 5.639 0.000
-2.812 -2.374 7.777
Na W O
8 2 10
direct
0.000 0.000 0.000
0.000 0.500 0.500
0.192 0.487 0.903
0.197 0.003 0.398
0.380 0.494 0.294
0.620 0.506 0.706
0.803 0.997 0.602
0.808 0.513 0.097
0.399 0.996 0.795
0.601 0.004 0.205
0.064 0.778 0.758
0.241 0.209 0.685
0.260 0.786 0.156
0.409 0.778 0.600
0.423 0.191 0.037
0.577 0.809 0.963
0.591 0.222 0.400
0.740 0.214 0.844
0.759 0.791 0.315
0.936 0.222 0.242
```

Calculated values
symmetry	P-1
calculated formation energy	-2.1427	eV per atom

---

Record 5
DFT (GGA+U) results for Ba4CaMn2MoO12 after structural relaxation.

POSCAR file:
```
Ba4CaMn2MoO12
1.0
5.930 0.000 0.000
0.000 3.424 19.754
-2.965 -5.135 0.000
Ba Ca Mn Mo O
8 2 4 2 24
direct
0.314 0.942 0.628
0.814 0.442 0.628
0.184 0.551 0.367
0.684 0.051 0.367
0.899 0.697 0.798
0.399 0.197 0.798
0.612 0.836 0.224
0.112 0.336 0.224
0.252 0.756 0.504
0.752 0.256 0.504
0.999 0.996 0.997
0.456 0.367 0.911
0.499 0.496 0.997
0.956 0.867 0.911
0.544 0.633 0.089
0.044 0.133 0.089
0.832 0.937 0.105
0.332 0.437 0.105
0.832 0.937 0.664
0.332 0.437 0.664
0.273 0.937 0.105
0.773 0.437 0.105
0.665 0.560 0.895
0.165 0.060 0.895
0.665 0.560 0.331
0.165 0.060 0.331
0.229 0.560 0.895
0.729 0.060 0.895
0.401 0.678 0.277
0.901 0.178 0.277
0.401 0.678 0.803
0.901 0.178 0.803
0.876 0.678 0.277
0.376 0.178 0.277
0.091 0.816 0.725
0.591 0.316 0.725
0.091 0.816 0.181
0.591 0.316 0.181
0.634 0.816 0.725
0.134 0.316 0.725
```

Calculated values
size of the total moment	0.001	μB/f.u.
calculated formation energy	-2.6782	eV per atom

---

Record 6
DFT (GGA+U) results for RbNiF3 after structural relaxation.

POSCAR file:
```
RbNiF3
1.0
5.932 0.000 0.000
-2.966 5.137 0.000
0.000 0.000 14.512
Rb Ni F
6 6 18
direct
0.000 0.000 0.250
0.000 0.000 0.750
0.333 0.667 0.093
0.333 0.667 0.407
0.667 0.333 0.593
0.667 0.333 0.907
0.000 0.000 0.000
0.000 0.000 0.500
0.333 0.667 0.655
0.333 0.667 0.845
0.667 0.333 0.155
0.667 0.333 0.345
0.037 0.518 0.750
0.166 0.331 0.580
0.166 0.331 0.920
0.166 0.834 0.580
0.166 0.834 0.920
0.331 0.166 0.080
0.331 0.166 0.420
0.482 0.518 0.750
0.482 0.963 0.750
0.518 0.037 0.250
0.518 0.482 0.250
0.669 0.834 0.580
0.669 0.834 0.920
0.834 0.166 0.080
0.834 0.166 0.420
0.834 0.669 0.080
0.834 0.669 0.420
0.963 0.482 0.250
```

Calculated values
symmetry	P6_3/mmc
calculated formation energy	-2.6153	eV per atom

---

Record 7
DFT (GGA+U) results for MgMn12O14F10 after structural relaxation.

POSCAR file:
```
MgMn12O14F10
1.0
4.864 0.000 0.000
0.074 5.785 0.000
0.678 0.521 15.177
Mg Mn O F
1 12 14 10
direct
0.000 0.000 0.000
0.024 0.739 0.516
0.035 0.451 0.348
0.038 0.777 0.184
0.041 0.474 0.019
0.497 0.236 0.830
0.514 0.935 0.661
0.530 0.734 0.004
0.544 0.275 0.503
0.559 0.981 0.339
0.595 0.300 0.170
0.981 0.722 0.836
0.991 0.431 0.673
0.178 0.462 0.783
0.200 0.719 0.942
0.217 0.714 0.619
0.251 0.491 0.451
0.357 0.524 0.101
0.722 0.189 0.720
0.722 0.934 0.908
0.742 0.983 0.555
0.745 0.234 0.393
0.762 0.024 0.230
0.797 0.499 0.566
0.824 0.246 0.071
0.843 0.731 0.072
0.856 0.520 0.239
0.241 0.231 0.946
0.264 0.965 0.774
0.281 0.984 0.103
0.285 0.221 0.605
0.288 0.978 0.445
0.296 0.753 0.287
0.321 0.263 0.271
0.725 0.690 0.741
0.726 0.465 0.913
0.818 0.735 0.403
```

Calculated values
symmetry	P1
size of the total moment	47.902	μB/f.u.
ΔE to the lowest computed polymorph	8	meV/atom
calculated formation energy	-2.2649	eV per atom

---

Record 8
DFT (GGA+U) results for Sr2FeAs2F after structural relaxation.

POSCAR file:
```
Sr2FeAs2F
1.0
3.430 0.000 0.000
0.000 3.430 0.000
0.000 0.000 15.593
Sr Fe As F
2 1 2 1
direct
0.000 0.000 0.146
0.000 0.000 0.854
0.000 0.000 0.500
0.000 0.000 0.342
0.000 0.000 0.658
0.000 0.000 0.000
```

Calculated values
symmetry	P4/mmm
size of the total moment	3.661	μB/f.u.
calculated formation energy	-0.2536	eV per atom

---

Record 9
DFT (GGA+U) results for Sr4CeMn4CoO15 after structural relaxation.

POSCAR file:
```
Sr4CeMn4CoO15
1.0
8.210 -2.753 0.000
8.210 2.753 0.000
-1.818 0.000 6.459
Sr Ce Mn Co O
4 1 4 1 15
direct
0.000 0.000 0.000
0.400 0.400 0.602
0.598 0.598 0.402
0.801 0.801 0.201
0.197 0.197 0.796
0.200 0.200 0.302
0.400 0.400 0.103
0.600 0.600 0.901
0.800 0.800 0.701
0.999 0.999 0.496
0.005 0.490 0.516
0.101 0.581 0.902
0.105 0.105 0.415
0.202 0.698 0.301
0.297 0.297 0.193
0.300 0.818 0.702
0.393 0.909 0.088
0.490 0.005 0.516
0.497 0.497 0.988
0.581 0.101 0.902
0.698 0.202 0.301
0.700 0.700 0.803
0.818 0.300 0.702
0.900 0.900 0.613
0.909 0.393 0.088
```

Calculated values
symmetry	Cm
size of the total moment	15.003	μB/f.u.
calculated formation energy	-2.5171	eV per atom

---

Record 10
DFT (GGA+U) results for MgFe2Co4O8 after structural relaxation.

POSCAR file:
```
MgFe2Co4O8
1.0
5.969 0.000 0.000
-0.073 6.105 0.000
-2.957 -3.032 4.575
Mg Fe Co O
1 2 4 8
direct
0.000 0.000 0.000
0.604 0.353 0.206
0.605 0.864 0.203
0.085 0.803 0.596
0.289 0.295 0.572
0.512 0.811 0.592
0.947 0.449 0.891
0.356 0.589 0.170
0.383 0.111 0.768
0.389 0.674 0.766
0.391 0.133 0.259
0.820 0.595 0.172
0.834 0.056 0.669
0.837 0.620 0.666
0.872 0.139 0.261
```

Calculated values
symmetry	P1
size of the total moment	1.991	μB/f.u.
ΔE to the lowest computed polymorph	13	meV/atom
calculated formation energy	-1.4701	eV per atom